1.
Density functional theory data (GGA-PBE) for ZrSbRu after structural relaxation.

Cell and atoms, written as extended XYZ:
```
3
Lattice="0.000 3.177 3.177 3.177 0.000 3.177 3.177 3.177 0.000" Properties=species:S:1:pos:R:3 pbc="T T T"
Sb 3.177 3.177 3.177
Ru 1.589 1.589 1.589
Zr 0.000 0.000 0.000
```

Properties
As for the space-group type: F-43m. The calculation puts the total energy at -23.652 eV for the cell shown. As for the crystal system: cubic.


2.
Density functional theory data (GGA-PBE) for Zr5Sb3Ru after structural relaxation.

Cell and atoms, written as extended XYZ:
```
18
Lattice="-5.455 5.878 3.455 -1.763 -8.525 0.685 2.992 -0.210 5.081" Properties=species:S:1:pos:R:3 pbc="T T T"
Sb 1.550 -3.513 4.080
Sb 0.096 2.156 5.171
Sb -2.093 -1.094 2.900
Sb -2.560 3.512 3.365
Sb -0.321 -5.222 1.685
Sb -2.133 -1.763 6.321
Zr 0.297 -2.234 1.445
Zr -1.815 4.216 6.382
Zr -4.623 -2.022 4.351
Zr -2.994 -3.724 1.608
Zr -0.648 1.452 2.154
Zr -1.498 -3.829 4.149
Zr 0.932 -6.501 4.320
Zr -2.729 0.972 5.072
Zr 0.397 -0.835 4.870
Zr -4.224 1.077 2.532
Ru 0.000 0.000 0.000
Ru 1.496 -0.105 2.540
```

Properties
As for the space-group type: P6_3/mcm. The calculation puts the total energy at -140.122 eV for the cell shown. As for the crystal system: hexagonal.


3.
Density functional theory data (GGA-PBE) for ZrSbRu2 after structural relaxation.

Cell and atoms, written as extended XYZ:
```
4
Lattice="0.000 3.256 3.256 3.256 0.000 3.256 3.256 3.256 0.000" Properties=species:S:1:pos:R:3 pbc="T T T"
Ru 4.884 4.884 4.884
Ru 1.628 1.628 1.628
Zr 0.000 0.000 0.000
Sb 3.256 3.256 3.256
```

Properties
As for the space-group type: Fm-3m. The calculation puts the total energy at -32.870 eV for the cell shown. As for the crystal system: cubic.


4.
Density functional theory data (GGA-PBE) for ScRu3 after structural relaxation.

Cell and atoms, written as extended XYZ:
```
4
Lattice="4.637 0.096 -1.506 2.999 -1.750 3.424 -4.104 -1.708 -2.003" Properties=species:S:1:pos:R:3 pbc="T T T"
Ru 3.818 -0.827 0.959
Ru 1.356 -2.142 1.190
Ru 2.175 -1.219 -1.275
Sc 0.000 0.000 0.000
```

Properties
As for the space-group type: I4/mmm. The calculation puts the total energy at -34.356 eV for the cell shown. As for the crystal system: tetragonal.


5.
Density functional theory data (GGA-PBE) for Sc44Ru7 after structural relaxation.

Cell and atoms, written as extended XYZ:
```
102
Lattice="10.991 4.933 8.408 -1.086 -0.651 14.637 8.286 -9.483 7.567" Properties=species:S:1:pos:R:3 pbc="T T T"
Sc 6.529 -4.456 19.750
Sc 6.485 0.940 13.418
Sc 5.832 -1.448 6.061
Sc 7.498 -2.144 12.618
Sc 5.975 -6.247 5.986
Sc 3.696 0.565 7.673
Sc 5.584 -1.596 9.397
Sc 15.233 -2.363 23.145
Sc 12.500 -1.545 18.501
Sc 11.955 1.748 13.665
Sc 7.701 2.950 6.523
Sc 7.585 -4.062 15.129
Sc 10.416 -2.752 13.669
Sc 14.565 -5.919 22.938
Sc 10.619 -1.652 22.834
Sc 0.460 -0.334 4.241
Sc 12.981 -0.592 24.642
Sc 4.623 -1.588 12.348
Sc 14.348 -3.697 17.207
Sc 8.460 -8.002 9.232
Sc 12.926 -1.290 12.753
Sc 6.933 -7.094 18.052
Sc 10.166 -2.529 10.641
Sc 17.091 -4.465 21.541
Sc 16.848 -4.610 24.813
Sc 14.578 -3.559 14.110
Sc 15.310 -2.426 19.915
Sc 5.275 1.591 5.006
Sc 14.252 -5.810 26.152
Sc 7.974 -0.039 10.620
Sc 11.795 -6.913 24.273
Sc 12.247 -4.910 12.542
Sc 14.834 -2.711 26.333
Sc 1.741 -2.609 12.090
Sc 11.820 -5.166 18.290
Sc 5.423 -4.722 13.087
Sc 10.399 0.025 20.187
Sc 7.608 -8.513 20.719
Sc 5.150 -4.885 16.763
Sc 7.117 -2.372 17.759
Sc 10.225 -7.474 13.127
Sc 9.731 2.801 21.380
Sc 10.583 3.312 9.892
Sc 7.224 -4.039 10.386
Sc 13.215 -0.452 21.495
Sc 4.858 1.341 10.623
Sc 4.229 -1.824 17.650
Sc 6.212 0.776 17.094
Sc 8.645 2.032 18.585
Sc -0.005 -0.612 10.497
Sc 13.275 -6.105 15.460
Sc 7.504 -7.103 14.988
Sc 10.162 -2.905 17.100
Sc 11.654 1.567 17.727
Sc 17.087 -4.130 15.831
Sc 8.456 -2.048 7.910
Sc 1.104 -1.070 14.781
Sc 9.466 -2.948 20.065
Sc 11.087 0.437 10.921
Sc 4.014 -0.047 15.042
Sc 9.947 -5.638 10.567
Sc 0.640 -0.552 7.396
Sc 7.279 -0.455 19.983
Sc 14.255 -0.884 15.765
Sc 9.923 -7.654 17.189
Sc 9.446 0.953 8.117
Sc 11.358 -0.411 15.571
Sc 8.219 -0.682 15.326
Sc 7.391 -6.820 11.885
Sc 3.820 -4.191 10.300
Sc 9.103 2.306 12.418
Sc 4.237 -3.942 4.683
Sc 9.259 -6.050 19.832
Sc 5.746 -6.384 9.069
Sc 2.434 -2.194 2.752
Sc 2.310 0.427 12.268
Sc 12.253 -3.740 24.682
Sc 9.245 2.179 15.529
Sc 14.729 -5.525 19.734
Sc 7.472 2.813 9.606
Sc 3.079 -2.721 7.481
Sc 8.290 -5.208 7.757
Sc 12.029 -6.773 21.126
Sc 3.003 0.842 2.930
Sc 10.408 -5.474 15.276
Sc 3.441 -3.098 14.864
Sc 10.014 -4.875 22.646
Sc 12.521 -3.580 21.071
Ru 16.368 -4.679 27.545
Ru 9.782 -7.636 22.506
Ru 5.776 -3.988 7.625
Ru 8.491 -5.002 17.505
Ru 9.700 -0.198 13.107
Ru 17.019 -4.289 18.774
Ru 8.837 -4.795 12.838
Ru 2.697 -1.087 9.947
Ru 6.664 0.747 7.901
Ru 3.054 -0.873 5.139
Ru 12.342 -3.222 15.519
Ru 11.403 1.003 23.011
Ru 5.849 -1.979 15.093
Ru 9.353 -0.406 17.773
```

Properties
As for the space-group type: F-43m. The calculation puts the total energy at -708.702 eV for the cell shown. As for the crystal system: cubic.


6.
Density functional theory data (GGA-PBE) for ScRu3 after structural relaxation.

Cell and atoms, written as extended XYZ:
```
4
Lattice="3.938 0.000 0.000 0.000 3.938 0.000 0.000 0.000 3.938" Properties=species:S:1:pos:R:3 pbc="T T T"
Ru 0.000 1.969 1.969
Ru 1.969 0.000 1.969
Ru 1.969 1.969 0.000
Sc 0.000 0.000 0.000
```

Properties
As for the space-group type: Pm-3m. The calculation puts the total energy at -34.346 eV for the cell shown. As for the crystal system: cubic.


7.
Density functional theory data (GGA-PBE) for Sc5Ru3 after structural relaxation.

Cell and atoms, written as extended XYZ:
```
16
Lattice="3.763 -4.220 1.546 5.959 4.721 -1.617 -3.049 -0.101 7.148" Properties=species:S:1:pos:R:3 pbc="T T T"
Sc 2.038 -3.191 2.997
Sc 1.689 0.133 1.808
Sc 2.956 3.114 1.305
Sc 1.835 -0.603 4.999
Sc 5.368 2.453 -0.815
Sc -0.047 1.507 4.227
Sc 4.837 1.004 2.078
Sc 4.354 -1.952 0.744
Sc 4.984 0.268 5.269
Sc -1.325 -1.130 5.698
Ru -0.286 -1.096 3.262
Ru 3.337 0.844 -0.264
Ru 6.384 -0.343 0.193
Ru 3.992 -1.307 3.384
Ru 0.999 -3.225 5.432
Ru 2.680 1.707 3.693
```

Properties
As for the space-group type: P6_3/mcm. The calculation puts the total energy at -126.271 eV for the cell shown. As for the crystal system: hexagonal.


8.
Density functional theory data (GGA-PBE) for Sc57Ru13 after structural relaxation.

Cell and atoms, written as extended XYZ:
```
140
Lattice="14.413 0.000 0.000 0.000 14.413 0.000 0.000 0.000 14.413" Properties=species:S:1:pos:R:3 pbc="T T T"
Sc 2.917 8.822 9.946
Sc 2.595 10.208 1.653
Sc 7.207 9.781 5.646
Sc 0.000 7.207 10.492
Sc 0.000 4.666 8.694
Sc 7.207 1.561 1.918
Sc 3.922 0.000 7.207
Sc 1.824 7.207 7.207
Sc 2.917 5.592 9.946
Sc 7.207 3.922 0.000
Sc 2.917 8.822 4.467
Sc 7.207 7.207 1.824
Sc 10.208 12.760 2.595
Sc 12.760 2.595 4.206
Sc 0.000 0.000 5.225
Sc 1.579 0.000 2.526
Sc 4.467 2.917 8.822
Sc 7.207 9.781 8.767
Sc 12.760 2.595 10.208
Sc 11.496 8.822 9.946
Sc 8.767 7.207 9.781
Sc 5.592 9.946 2.917
Sc 7.207 12.852 12.495
Sc 7.207 7.207 12.590
Sc 5.225 0.000 0.000
Sc 9.781 5.646 7.207
Sc 12.852 1.918 7.207
Sc 1.653 11.818 4.206
Sc 12.760 11.818 4.206
Sc 5.592 4.467 11.496
Sc 0.000 2.526 12.834
Sc 9.946 11.496 8.822
Sc 0.000 7.207 3.922
Sc 2.595 10.208 12.760
Sc 8.822 9.946 2.917
Sc 4.633 5.646 7.207
Sc 8.694 0.000 9.748
Sc 9.748 8.694 0.000
Sc 8.694 0.000 4.666
Sc 12.852 12.495 7.207
Sc 5.592 9.946 11.496
Sc 4.206 12.760 2.595
Sc 0.000 11.887 1.579
Sc 7.207 4.633 8.767
Sc 12.834 0.000 2.526
Sc 5.719 0.000 4.666
Sc 9.188 0.000 0.000
Sc 5.646 7.207 9.781
Sc 1.653 2.595 4.206
Sc 10.208 1.653 11.818
Sc 11.818 4.206 12.760
Sc 2.595 4.206 1.653
Sc 4.666 5.719 0.000
Sc 10.208 1.653 2.595
Sc 7.207 1.824 7.207
Sc 4.206 1.653 11.818
Sc 8.767 7.207 4.633
Sc 9.946 11.496 5.592
Sc 7.207 4.633 5.646
Sc 8.822 4.467 11.496
Sc 2.595 4.206 12.760
Sc 4.666 8.694 0.000
Sc 12.760 11.818 10.208
Sc 0.000 2.526 1.579
Sc 12.590 7.207 7.207
Sc 2.917 5.592 4.467
Sc 1.579 0.000 11.887
Sc 0.000 5.225 0.000
Sc 8.822 4.467 2.917
Sc 1.918 7.207 12.852
Sc 7.207 12.590 7.207
Sc 11.818 10.208 12.760
Sc 9.748 5.719 0.000
Sc 0.000 0.000 9.188
Sc 11.818 10.208 1.653
Sc 8.822 9.946 11.496
Sc 4.467 2.917 5.592
Sc 5.646 7.207 4.633
Sc 11.887 12.834 0.000
Sc 4.206 1.653 2.595
Sc 0.000 9.748 8.694
Sc 1.561 1.918 7.207
Sc 1.653 11.818 10.208
Sc 11.496 8.822 4.467
Sc 0.000 9.188 0.000
Sc 4.206 12.760 11.818
Sc 9.946 2.917 5.592
Sc 12.834 0.000 11.887
Sc 2.526 1.579 0.000
Sc 0.000 11.887 12.834
Sc 12.495 7.207 1.561
Sc 11.496 5.592 9.946
Sc 4.633 8.767 7.207
Sc 2.526 12.834 0.000
Sc 1.918 7.207 1.561
Sc 7.207 12.852 1.918
Sc 1.561 12.495 7.207
Sc 9.946 2.917 8.822
Sc 5.592 4.467 2.917
Sc 7.207 1.561 12.495
Sc 0.000 9.748 5.719
Sc 1.653 2.595 10.208
Sc 7.207 10.492 0.000
Sc 11.818 4.206 1.653
Sc 5.719 0.000 9.748
Sc 0.000 4.666 5.719
Sc 9.781 8.767 7.207
Sc 4.467 11.496 5.592
Sc 11.887 1.579 0.000
Sc 10.208 12.760 11.818
Sc 11.496 5.592 4.467
Sc 12.495 7.207 12.852
Sc 4.467 11.496 8.822
Sc 10.492 0.000 7.207
Ru 2.404 10.092 7.207
Ru 9.611 11.490 0.000
Ru 0.000 4.802 2.924
Ru 7.207 2.404 10.092
Ru 2.924 0.000 9.611
Ru 10.092 7.207 2.404
Ru 7.207 12.009 10.092
Ru 12.009 4.321 7.207
Ru 12.009 10.092 7.207
Ru 4.321 7.207 2.404
Ru 4.802 2.924 0.000
Ru 0.000 9.611 2.924
Ru 0.000 9.611 11.490
Ru 11.490 0.000 4.802
Ru 10.092 7.207 12.009
Ru 2.924 0.000 4.802
Ru 7.207 12.009 4.321
Ru 4.802 11.490 0.000
Ru 0.000 0.000 0.000
Ru 4.321 7.207 12.009
Ru 0.000 4.802 11.490
Ru 9.611 2.924 0.000
Ru 11.490 0.000 9.611
Ru 7.207 7.207 7.207
Ru 7.207 2.404 4.321
Ru 2.404 4.321 7.207
```

Properties
As for the space-group type: Pm-3. The calculation puts the total energy at -1003.143 eV for the cell shown. As for the crystal system: cubic.


9.
Density functional theory data (GGA-PBE) for ScSiRu after structural relaxation.

Cell and atoms, written as extended XYZ:
```
12
Lattice="4.135 0.000 0.000 0.000 6.652 0.000 0.000 0.000 7.073" Properties=species:S:1:pos:R:3 pbc="T T T"
Si 3.101 4.699 2.734
Si 3.101 1.373 0.803
Si 1.034 1.953 4.340
Si 1.034 5.279 6.270
Sc 3.101 3.336 5.761
Sc 3.101 0.010 4.849
Sc 1.034 3.316 1.313
Sc 1.034 6.642 2.224
Ru 1.034 4.379 3.963
Ru 3.101 2.273 3.110
Ru 3.101 5.599 0.427
Ru 1.034 1.053 6.647
```

Properties
As for the space-group type: Pnma. The calculation puts the total energy at -94.878 eV for the cell shown. As for the crystal system: orthorhombic.


10.
Density functional theory data (GGA-PBE) for Sc3Si3Ru after structural relaxation.

Cell and atoms, written as extended XYZ:
```
28
Lattice="-1.843 -3.377 -1.090 9.136 -4.680 -0.954 -0.534 -3.333 11.232" Properties=species:S:1:pos:R:3 pbc="T T T"
Si -0.761 -3.656 8.949
Si 5.140 -8.244 5.847
Si 5.739 -7.820 3.519
Si 4.447 -8.961 9.242
Si 1.619 -3.145 3.341
Si 5.364 -6.555 0.236
Si 2.311 -2.428 -0.054
Si 3.796 -4.187 2.885
Si 1.019 -3.570 5.669
Si 7.520 -7.733 0.239
Si 1.395 -4.834 8.953
Si 2.963 -7.203 6.303
Sc 1.804 -5.900 4.229
Sc -0.287 -5.625 6.914
Sc 1.997 -7.494 8.840
Sc -0.883 -4.215 3.552
Sc 1.607 -4.792 1.128
Sc 7.642 -7.174 5.636
Sc 7.046 -5.764 2.274
Sc 4.955 -5.489 4.959
Sc 7.540 -5.010 -0.899
Sc -0.781 -6.379 10.087
Sc 4.762 -3.896 0.349
Sc 5.152 -6.597 8.061
Ru 4.012 -6.459 2.224
Ru 0.443 -1.947 1.617
Ru 6.316 -9.442 7.571
Ru 2.747 -4.931 6.964
```

Properties
As for the space-group type: Pnma. The calculation puts the total energy at -202.905 eV for the cell shown. As for the crystal system: orthorhombic.


11.
Density functional theory data (GGA-PBE) for ScSiRu after structural relaxation.

Cell and atoms, written as extended XYZ:
```
9
Lattice="3.460 -5.993 0.000 3.460 5.993 0.000 0.000 0.000 3.389" Properties=species:S:1:pos:R:3 pbc="T T T"
Sc 2.065 -3.577 1.694
Sc 2.789 0.000 1.694
Sc 2.065 3.577 1.694
Si 0.000 0.000 1.694
Si 3.460 1.998 0.000
Si 3.460 -1.998 0.000
Ru 0.872 -1.510 0.000
Ru 5.176 0.000 0.000
Ru 0.872 1.510 0.000
```

Properties
As for the space-group type: P-62m. The calculation puts the total energy at -71.435 eV for the cell shown. As for the crystal system: hexagonal.


12.
Density functional theory data (GGA-PBE) for ScTaRu2 after structural relaxation.

Cell and atoms, written as extended XYZ:
```
4
Lattice="-4.340 -1.150 0.363 -2.962 1.377 -3.101 -1.792 -2.966 -2.877" Properties=species:S:1:pos:R:3 pbc="T T T"
Ru -6.820 -2.055 -4.211
Ru -2.273 -0.685 -1.404
Ta 0.000 0.000 0.000
Sc -4.547 -1.370 -2.807
```

Properties
As for the space-group type: Fm-3m. The calculation puts the total energy at -39.238 eV for the cell shown. As for the crystal system: cubic.